VASP calculation (PBE+U) on a relaxed MnF3 crystal.

Properties
E_tot: -5.68 eV/atom
E_form: -10.85 eV/f.u.
Calculated volume: 12.2 A^3/atom

a b c (Å): 8.5317 8.5317 4.6540
angles (deg): 90.00 90.00 120.00
With the nearest neighbours (Å) after each atom.
Fractional positions:
F1 0.4271 0.2095 0.2404  2 Mn 1.91-2.02
F2 0.1195 0.8761 0.2577  2 Mn 1.93-1.99
F3 0.1239 0.2433 0.2577  2 Mn 1.93-1.99
F4 0.5440 0.4511 0.7463  2 Mn 1.92-1.99
F5 0.2095 0.4271 0.7596  2 Mn 1.91-2.02
F6 0.4511 0.5440 0.2537  2 Mn 1.92-1.99
F7 0.7824 0.5729 0.2404  2 Mn 1.91-2.02
F8 0.9071 0.4560 0.7463  2 Mn 1.92-1.99
F9 0.5729 0.7824 0.7596  2 Mn 1.91-2.02
F10 0.2176 0.7905 0.7596  2 Mn 1.91-2.02
F11 0.7905 0.2176 0.2404  2 Mn 1.91-2.02
F12 0.5489 0.0929 0.7463  2 Mn 1.92-1.99
F13 0.0929 0.5489 0.2537  2 Mn 1.92-1.99
F14 0.4560 0.9071 0.2537  2 Mn 1.92-1.99
F15 0.2433 0.1239 0.7423  2 Mn 1.93-1.99
F16 0.8805 0.7567 0.7423  2 Mn 1.93-1.99
F17 0.8761 0.1195 0.7423  2 Mn 1.93-1.99
F18 0.7567 0.8805 0.2577  2 Mn 1.93-1.99
Mn1 0.6648 0.0000 0.5000  6 F 1.92-2.02
Mn2 0.3352 0.3352 0.5000  6 F 1.92-2.02
Mn3 0.0000 0.6648 0.5000  6 F 1.92-2.02
Mn4 0.6667 0.6667 0.0000  6 F 1.91-1.99
Mn5 0.0000 0.3333 0.0000  6 F 1.91-1.99
Mn6 0.3333 0.0000 0.0000  6 F 1.91-1.99